This record from Materials Project describes a geometry-optimized Na6Ta4Zn4Si5S7O48 structure. The functional is GGA-PBE.

Computed properties:
E = -6.7596 eV/atom
Calculated volume = 3127.9 Å³/cell
Density = 3.59 g cm⁻³
Space group = P1, No. 1

Cell: 17.769 8.938 22.821 Å, 90.14 89.67 120.34°
Positions (direct):
Na: 0.667 0.680 0.172
Na: 0.327 0.345 0.827
Na: 0.174 0.654 0.665
Na: 0.492 0.998 0.000
Na: 0.993 0.985 0.496
Na: 0.173 0.679 0.170
Na: 0.826 0.309 0.325
Na: 0.503 0.000 0.498
Na: 0.501 0.622 0.250
Na: 0.001 0.375 0.750
Na: 0.670 0.663 0.668
Na: 0.820 0.320 0.825
Na: 0.329 0.965 0.579
Na: 0.829 0.693 0.082
Na: 0.004 0.005 0.003
Na: 0.501 0.383 0.749
Na: 0.327 0.322 0.319
Na: 0.000 0.617 0.249
O: 0.419 0.038 0.085
O: 0.324 0.496 0.933
O: 0.411 0.009 0.802
O: 0.739 0.355 0.135
O: 0.857 0.554 0.248
O: 0.175 0.872 0.576
O: 0.902 0.973 0.693
O: 0.327 0.148 0.426
O: 0.589 0.985 0.909
O: 0.580 0.511 0.575
O: 0.079 0.648 0.074
O: 0.568 0.692 0.470
O: 0.986 0.812 0.090
O: 0.982 0.163 0.589
O: 0.647 0.826 0.248
O: 0.745 0.151 0.924
O: 0.654 0.867 0.970
O: 0.597 0.022 0.306
O: 0.916 0.014 0.806
O: 0.420 0.317 0.247
O: 0.750 0.875 0.359
O: 0.491 0.172 0.307
O: 0.420 0.531 0.031
O: 0.436 0.527 0.137
O: 0.787 0.699 0.972
O: 0.410 0.829 0.906
O: 0.083 0.711 0.754
O: 0.097 0.029 0.589
O: 0.250 0.672 0.572
O: 0.731 0.305 0.029
O: 0.011 0.827 0.696
O: 0.420 0.817 0.590
O: 0.265 0.890 0.367
O: 0.090 0.015 0.306
O: 0.243 0.354 0.137
O: 0.176 0.479 0.077
O: 0.921 0.801 0.590
O: 0.503 0.821 0.413
O: 0.058 0.620 0.355
O: 0.425 0.347 0.930
O: 0.844 0.162 0.027
O: 0.140 0.816 0.248
O: 0.598 0.163 0.085
O: 0.236 0.175 0.249
O: 0.423 0.543 0.749
O: 0.910 0.820 0.907
O: 0.146 0.856 0.969
O: 0.409 0.996 0.412
O: 0.002 0.184 0.196
O: 0.398 0.976 0.694
O: 0.556 0.493 0.854
O: 0.187 0.476 0.365
O: 0.901 0.822 0.194
O: 0.847 0.538 0.532
O: 0.762 0.649 0.581
O: 0.243 0.299 0.748
O: 0.245 0.339 0.426
O: 0.083 0.705 0.475
O: 0.272 0.710 0.976
O: 0.828 0.506 0.923
O: 0.084 0.182 0.693
O: 0.284 0.874 0.474
O: 0.642 0.466 0.748
O: 0.584 0.177 0.693
O: 0.355 0.159 0.748
O: 0.585 0.463 0.974
O: 0.595 0.487 0.256
O: 0.923 0.301 0.250
O: 0.751 0.829 0.072
O: 0.415 0.305 0.531
O: 0.068 0.443 0.968
O: 0.920 0.304 0.533
O: 0.414 0.811 0.307
O: 0.153 0.440 0.471
O: 0.050 0.465 0.860
O: 0.255 0.614 0.859
O: 0.081 0.448 0.250
O: 0.228 0.154 0.530
O: 0.601 0.031 0.589
O: 0.773 0.837 0.478
O: 0.269 0.842 0.752
O: 0.101 0.169 0.089
O: 0.773 0.701 0.252
O: 0.913 0.814 0.301
O: 0.180 0.889 0.863
O: 0.687 0.897 0.864
O: 0.144 0.472 0.749
O: 0.065 0.477 0.578
O: 0.425 0.505 0.426
O: 0.260 0.875 0.079
O: 0.676 0.871 0.577
O: 0.087 0.987 0.908
O: 0.343 0.525 0.528
O: 0.677 0.479 0.075
O: 0.089 0.192 0.410
O: 0.991 0.175 0.303
O: 0.682 0.468 0.365
O: 0.588 0.184 0.412
O: 0.491 0.807 0.803
O: 0.243 0.141 0.925
O: 0.255 0.691 0.256
O: 0.509 0.185 0.906
O: 0.592 0.164 0.806
O: 0.925 0.343 0.923
O: 0.437 0.353 0.648
O: 0.730 0.158 0.532
O: 0.915 0.525 0.030
O: 0.514 0.196 0.192
O: 0.808 0.107 0.141
O: 0.765 0.639 0.865
O: 0.920 0.021 0.089
O: 0.096 0.175 0.806
O: 0.743 0.193 0.247
O: 0.486 0.160 0.591
O: 0.909 0.989 0.405
O: 0.230 0.301 0.031
O: 0.860 0.186 0.747
O: 0.830 0.521 0.639
O: 0.581 0.714 0.750
O: 0.585 0.985 0.192
O: 0.564 0.650 0.076
O: 0.741 0.124 0.637
O: 0.992 0.808 0.803
O: 0.822 0.147 0.432
O: 0.003 0.185 0.909
O: 0.401 0.834 0.193
O: 0.345 0.155 0.030
O: 0.082 0.985 0.193
O: 0.306 0.510 0.642
O: 0.482 0.800 0.085
O: 0.502 0.820 0.696
O: 0.009 0.833 0.407
O: 0.744 0.344 0.428
O: 0.329 0.136 0.137
O: 0.926 0.503 0.431
O: 0.239 0.122 0.636
O: 0.648 0.438 0.471
O: 0.357 0.535 0.246
O: 0.755 0.823 0.755
O: 0.741 0.309 0.750
O: 0.925 0.549 0.746
O: 0.936 0.520 0.148
O: 0.936 0.349 0.639
O: 0.549 0.635 0.363
S: 0.858 0.717 0.249
S: 0.477 0.626 0.085
S: 0.165 0.959 0.916
S: 0.170 0.373 0.417
S: 0.185 0.042 0.584
S: 0.192 0.336 0.085
S: 0.016 0.370 0.916
S: 0.836 0.620 0.586
S: 0.500 0.719 0.750
S: 0.690 0.044 0.584
S: 0.664 0.368 0.418
S: 0.003 0.720 0.750
S: 0.356 0.997 0.750
S: 0.336 0.049 0.085
S: 0.685 0.327 0.084
S: 0.318 0.969 0.419
S: 0.517 0.669 0.417
S: 0.000 0.281 0.250
S: 0.818 0.665 0.917
S: 0.670 0.966 0.916
S: 0.976 0.332 0.586
Zn: 0.666 0.649 0.810
Zn: 0.167 0.685 0.310
Zn: 0.179 0.653 0.814
Zn: 0.172 0.676 0.020
Zn: 0.333 0.355 0.682
Zn: 0.662 0.668 0.016
Zn: 0.671 0.690 0.309
Zn: 0.165 0.661 0.513
Zn: 0.832 0.310 0.183
Zn: 0.330 0.325 0.196
Zn: 0.669 0.666 0.517
Zn: 0.821 0.314 0.692
Ta: 0.002 0.011 0.850
Ta: 0.501 0.002 0.346
Ta: 0.338 0.339 0.978
Ta: 0.002 0.996 0.357
Ta: 0.835 0.333 0.475
Ta: 0.996 0.006 0.648
Ta: 0.503 0.007 0.858
Ta: 0.004 0.999 0.142
Ta: 0.497 0.000 0.152
Ta: 0.836 0.332 0.986
Ta: 0.503 0.008 0.642
Ta: 0.338 0.342 0.485
Si: 0.986 0.620 0.089
Si: 0.146 0.000 0.250
Si: 0.647 0.293 0.750
Si: 0.326 0.625 0.585
Si: 0.486 0.352 0.589
Si: 0.806 0.940 0.417
Si: 0.308 0.667 0.919
Si: 0.155 0.302 0.748
Si: 0.030 0.669 0.416
Si: 0.346 0.700 0.251
Si: 0.826 0.025 0.085
Si: 0.654 0.012 0.248
Si: 0.506 0.304 0.251
Si: 0.529 0.391 0.915
Si: 0.846 0.995 0.751